1.
The following is a DFT calculation (meta-GGA r2SCAN) of La3Sn13Ru4 after structural relaxation.

abc: 9.8365 9.8365 9.8365
angles: 90.00 90.00 90.00
Space group Pm-3n (No. 223)
Inequivalent atoms, fractional coordinates:
La 0.0000 0.2500 0.5000
Sn 0.0000 0.0000 0.0000
Sn 0.0000 0.2987 0.1544
Ru 0.2500 0.2500 0.2500

## Properties
- M_tot: 0.00 μB per cell
- Total energy: -26.088 eV/atom

***

2.
The following is a DFT calculation (meta-GGA r2SCAN) of La3S4 after structural relaxation.

abc: 8.7489 8.7489 8.7489
angles: 90.00 90.00 90.00
Space group I-43d (No. 220)
Inequivalent atoms, fractional coordinates:
La 0.0000 0.2500 0.3750
S 0.0746 0.0746 0.0746

## Properties
- M_tot: 0.00 μB per cell
- Total energy: -19.798 eV/atom

***

3.
The following is a DFT calculation (meta-GGA r2SCAN) of LaS after structural relaxation.

abc: 5.8832 5.8832 5.8832
angles: 90.00 90.00 90.00
Space group Fm-3m (No. 225)
Inequivalent atoms, fractional coordinates:
La 0.0000 0.0000 0.0000
S 0.0000 0.0000 0.5000

## Properties
- M_tot: 0.00 μB per cell
- Total energy: -21.320 eV/atom